Density functional theory data (PBE) for a relaxed structure of MnNiGe.

Geometry as CIF:
```
data_MnNiGe
_cell_length_a 3.666
_cell_length_b 6.034
_cell_length_c 7.111
_cell_angle_alpha 90.00
_cell_angle_beta 90.00
_cell_angle_gamma 90.00
_space_group_name_H-M_alt 'P 1'
_space_group_IT_number 1
loop_
_space_group_symop_operation_xyz
'x,y,z'
loop_
_atom_site_label
_atom_site_type_symbol
_atom_site_fract_x
_atom_site_fract_y
_atom_site_fract_z
Mn1 Mn 0.750 0.465 0.322
Mn2 Mn 0.250 0.035 0.822
Mn3 Mn 0.750 0.965 0.178
Mn4 Mn 0.250 0.535 0.678
Ni1 Ni 0.250 0.141 0.441
Ni2 Ni 0.750 0.359 0.941
Ni3 Ni 0.250 0.641 0.059
Ni4 Ni 0.750 0.859 0.559
Ge1 Ge 0.250 0.252 0.128
Ge2 Ge 0.750 0.748 0.872
Ge3 Ge 0.250 0.752 0.372
Ge4 Ge 0.750 0.248 0.628
```

The space group is Pnma (62). For the calculated formation energy, the calculation gives -259 meV per atom.